No. 1
{"formula": "LaSeCl", "functional": "meta-GGA r2SCAN", "state": "optimized geometry", "cell": [[7.6430, 0.0000, 0.0000], [0.0000, 4.3631, 0.0000], [0.0000, 0.0000, 9.1431]], "species": ["La", "La", "La", "La", "Se", "Se", "Se", "Se", "Cl", "Cl", "Cl", "Cl"], "fractional_positions": [[0.2413, 0.2500, 0.1314], [0.2587, 0.7500, 0.6314], [0.7413, 0.2500, 0.3686], [0.7587, 0.7500, 0.8686], [0.0410, 0.2500, 0.8283], [0.4590, 0.7500, 0.3283], [0.5410, 0.2500, 0.6717], [0.9590, 0.7500, 0.1717], [0.1349, 0.2500, 0.4402], [0.3651, 0.7500, 0.9402], [0.6349, 0.2500, 0.0598], [0.8651, 0.7500, 0.5598]], "e_form_mev_per_atom": -2518, "final_energy_ev_per_cell": -231.05}

=====

No. 2
{"formula": "La3Se4Cl", "functional": "meta-GGA r2SCAN", "state": "optimized geometry", "cell": [[12.8327, 0.0000, 0.0000], [0.0000, 8.0113, 0.0000], [0.0000, 0.0000, 8.5851]], "species": ["La", "La", "La", "La", "La", "La", "La", "La", "La", "La", "La", "La", "Se", "Se", "Se", "Se", "Se", "Se", "Se", "Se", "Se", "Se", "Se", "Se", "Se", "Se", "Se", "Se", "Cl", "Cl", "Cl", "Cl"], "fractional_positions": [[0.0096, 0.0806, 0.0000], [0.1736, 0.5118, 0.7462], [0.1830, 0.5263, 0.2471], [0.3170, 0.0263, 0.7471], [0.3264, 0.0118, 0.2462], [0.4904, 0.5806, 0.5000], [0.5096, 0.4194, 0.0000], [0.6736, 0.9882, 0.7462], [0.6830, 0.9737, 0.2471], [0.8170, 0.4737, 0.7471], [0.8264, 0.4882, 0.2462], [0.9904, 0.9194, 0.5000], [0.0016, 0.4639, 0.0023], [0.0981, 0.1616, 0.7019], [0.1884, 0.8268, 0.9969], [0.2186, 0.7998, 0.5000], [0.2814, 0.2998, 0.0000], [0.3116, 0.3268, 0.4969], [0.4019, 0.6616, 0.2019], [0.4984, 0.9639, 0.5023], [0.5016, 0.0361, 0.0023], [0.5981, 0.3384, 0.7019], [0.6884, 0.6732, 0.9969], [0.7186, 0.7002, 0.5000], [0.7814, 0.2002, 0.0000], [0.8116, 0.1732, 0.4969], [0.9019, 0.8384, 0.2019], [0.9984, 0.5361, 0.5023], [0.1042, 0.1585, 0.2901], [0.3958, 0.6585, 0.7901], [0.6042, 0.3415, 0.2901], [0.8958, 0.8415, 0.7901]], "e_form_mev_per_atom": -2405, "final_energy_ev_per_cell": -687.48}

=====

No. 3
{"formula": "La3SiCl3", "functional": "meta-GGA r2SCAN", "state": "optimized geometry", "cell": [[-5.9791, 5.9791, 5.9791], [5.9791, -5.9791, 5.9791], [5.9791, 5.9791, -5.9791]], "species": ["La", "La", "La", "La", "La", "La", "La", "La", "La", "La", "La", "La", "Si", "Si", "Si", "Si", "Cl", "Cl", "Cl", "Cl", "Cl", "Cl", "Cl", "Cl", "Cl", "Cl", "Cl", "Cl"], "fractional_positions": [[0.0055, 0.0111, 0.2555], [0.0055, 0.4945, 0.7500], [0.0111, 0.2555, 0.0055], [0.2445, 0.2555, 0.7500], [0.2445, 0.4889, 0.4945], [0.2555, 0.0055, 0.0111], [0.2555, 0.7500, 0.2445], [0.4889, 0.4945, 0.2445], [0.4945, 0.2445, 0.4889], [0.4945, 0.7500, 0.0055], [0.7500, 0.0055, 0.4945], [0.7500, 0.2445, 0.2555], [0.0000, 0.2500, 0.5000], [0.2500, 0.2500, 0.2500], [0.2500, 0.5000, 0.0000], [0.5000, 0.0000, 0.2500], [0.2500, 0.7516, 0.7484], [0.2500, 0.9984, 0.5016], [0.5016, 0.2500, 0.9984], [0.5016, 0.7516, 0.5032], [0.5032, 0.5016, 0.7516], [0.7484, 0.2500, 0.7516], [0.7484, 0.9984, 0.9968], [0.7516, 0.5032, 0.5016], [0.7516, 0.7484, 0.2500], [0.9968, 0.7484, 0.9984], [0.9984, 0.5016, 0.2500], [0.9984, 0.9968, 0.7484]], "e_form_mev_per_atom": -1907, "final_energy_ev_per_cell": -519.27}

=====

No. 4
{"formula": "La3Si3Cl2", "functional": "meta-GGA r2SCAN", "state": "optimized geometry", "cell": [[9.0770, -2.1319, 0.0000], [9.0770, 2.1319, 0.0000], [-1.4781, 0.0000, 10.5489]], "species": ["La", "La", "La", "La", "La", "La", "Si", "Si", "Si", "Si", "Si", "Si", "Cl", "Cl", "Cl", "Cl"], "fractional_positions": [[0.0358, 0.0358, 0.3308], [0.1160, 0.1160, 0.9904], [0.1801, 0.1801, 0.6487], [0.8199, 0.8199, 0.3513], [0.8840, 0.8840, 0.0096], [0.9642, 0.9642, 0.6692], [0.4120, 0.4120, 0.2229], [0.4360, 0.4360, 0.4487], [0.4816, 0.4816, 0.8887], [0.5184, 0.5184, 0.1113], [0.5640, 0.5640, 0.5513], [0.5880, 0.5880, 0.7771], [0.2034, 0.2034, 0.3737], [0.2735, 0.2735, 0.8918], [0.7265, 0.7265, 0.1082], [0.7966, 0.7966, 0.6263]], "e_form_mev_per_atom": -1484, "final_energy_ev_per_cell": -279.47}

=====

No. 5
{"formula": "LiCl", "functional": "meta-GGA r2SCAN", "state": "optimized geometry", "cell": [[3.9249, 0.0000, 0.0000], [-1.9624, 3.3990, 0.0000], [0.0000, 0.0000, 6.3572]], "species": ["Li", "Li", "Cl", "Cl"], "fractional_positions": [[0.3333, 0.6667, 0.0000], [0.6667, 0.3333, 0.5000], [0.3333, 0.6667, 0.6230], [0.6667, 0.3333, 0.1230]], "e_form_mev_per_atom": -2022, "final_energy_ev_per_cell": -25.17}

=====

No. 6
{"formula": "LiCl", "functional": "meta-GGA r2SCAN", "state": "optimized geometry", "cell": [[-0.1609, 1.1126, 4.9584], [-5.0556, 0.4671, -0.2688], [-0.5144, -4.9390, 1.0915]], "species": ["Li", "Li", "Li", "Li", "Cl", "Cl", "Cl", "Cl"], "fractional_positions": [[0.0000, 0.0000, 0.0000], [0.0000, 0.5000, 0.5000], [0.5000, 0.0000, 0.5000], [0.5000, 0.5000, 0.0000], [0.5000, 0.0000, 0.0000], [0.5000, 0.5000, 0.5000], [0.0000, 0.0000, 0.5000], [0.0000, 0.5000, 0.0000]], "e_form_mev_per_atom": -2026, "final_energy_ev_per_cell": -50.36}

=====

No. 7
{"formula": "Li4Mg3Cl10", "functional": "meta-GGA r2SCAN", "state": "optimized geometry", "cell": [[12.5387, 0.0000, -1.7633], [0.0000, 7.3845, 0.0000], [-0.1433, 0.0000, 30.2049]], "species": ["Li", "Li", "Li", "Li", "Li", "Li", "Li", "Li", "Li", "Li", "Li", "Li", "Li", "Li", "Li", "Li", "Li", "Li", "Li", "Li", "Li", "Li", "Li", "Li", "Li", "Li", "Li", "Li", "Li", "Li", "Li", "Li", "Mg", "Mg", "Mg", "Mg", "Mg", "Mg", "Mg", "Mg", "Mg", "Mg", "Mg", "Mg", "Mg", "Mg", "Mg", "Mg", "Mg", "Mg", "Mg", "Mg", "Mg", "Mg", "Mg", "Mg", "Cl", "Cl", "Cl", "Cl", "Cl", "Cl", "Cl", "Cl", "Cl", "Cl", "Cl", "Cl", "Cl", "Cl", "Cl", "Cl", "Cl", "Cl", "Cl", "Cl", "Cl", "Cl", "Cl", "Cl", "Cl", "Cl", "Cl", "Cl", "Cl", "Cl", "Cl", "Cl", "Cl", "Cl", "Cl", "Cl", "Cl", "Cl", "Cl", "Cl", "Cl", "Cl", "Cl", "Cl", "Cl", "Cl", "Cl", "Cl", "Cl", "Cl", "Cl", "Cl", "Cl", "Cl", "Cl", "Cl", "Cl", "Cl", "Cl", "Cl", "Cl", "Cl", "Cl", "Cl", "Cl", "Cl", "Cl", "Cl", "Cl", "Cl", "Cl", "Cl", "Cl", "Cl", "Cl", "Cl", "Cl", "Cl", "Cl", "Cl"], "fractional_positions": [[0.3100, 0.0000, 0.9003], [0.0317, 0.0000, 0.5730], [0.9020, 0.0000, 0.7000], [0.7650, 0.0000, 0.8246], [0.6331, 0.0000, 0.3735], [0.6995, 0.0000, 0.6011], [0.4999, 0.0000, 0.5005], [0.2351, 0.0000, 0.1746], [0.3670, 0.0000, 0.6284], [0.3006, 0.0000, 0.4009], [0.1009, 0.0000, 0.3009], [0.9683, 0.0000, 0.4288], [0.8992, 0.0000, 0.2012], [0.7079, 0.0000, 0.1003], [0.5670, 0.0000, 0.2273], [0.1633, 0.0000, 0.0226], [0.8100, 0.5000, 0.9003], [0.5317, 0.5000, 0.5730], [0.4020, 0.5000, 0.7000], [0.2650, 0.5000, 0.8246], [0.1331, 0.5000, 0.3735], [0.1995, 0.5000, 0.6011], [0.9999, 0.5000, 0.5005], [0.7351, 0.5000, 0.1746], [0.8670, 0.5000, 0.6284], [0.8006, 0.5000, 0.4009], [0.6009, 0.5000, 0.3009], [0.4683, 0.5000, 0.4288], [0.3992, 0.5000, 0.2012], [0.2079, 0.5000, 0.1003], [0.0670, 0.5000, 0.2273], [0.6633, 0.5000, 0.0226], [0.5473, 0.7573, 0.9000], [0.6488, 0.2510, 0.6998], [0.5473, 0.2427, 0.9000], [0.0991, 0.0000, 0.7956], [0.7497, 0.7501, 0.5005], [0.6488, 0.7490, 0.6998], [0.3514, 0.7498, 0.3008], [0.7497, 0.2499, 0.5005], [0.4485, 0.2569, 0.1002], [0.3514, 0.2502, 0.3008], [0.4485, 0.7431, 0.1002], [0.5000, 0.0000, 0.9963], [0.0473, 0.2573, 0.9000], [0.1488, 0.7510, 0.6998], [0.0473, 0.7427, 0.9000], [0.5991, 0.5000, 0.7956], [0.2497, 0.2501, 0.5005], [0.1488, 0.2490, 0.6998], [0.8514, 0.2498, 0.3008], [0.2497, 0.7499, 0.5005], [0.9485, 0.7569, 0.1002], [0.8514, 0.7502, 0.3008], [0.9485, 0.2431, 0.1002], [0.0000, 0.5000, 0.9963], [0.6452, 0.0000, 0.9489], [0.4560, 0.0000, 0.8540], [0.4085, 0.7629, 0.9492], [0.4085, 0.2371, 0.9492], [0.2428, 0.0000, 0.7478], [0.6924, 0.2679, 0.8512], [0.0529, 0.0000, 0.6523], [0.1454, 0.0000, 0.9446], [0.5085, 0.2645, 0.7483], [0.6924, 0.7321, 0.8512], [0.5085, 0.7355, 0.7483], [0.9574, 0.0000, 0.8509], [0.2921, 0.2645, 0.6522], [0.8433, 0.0000, 0.5475], [0.2921, 0.7355, 0.6522], [0.7464, 0.0000, 0.7461], [0.6063, 0.7641, 0.5474], [0.6539, 0.0000, 0.4532], [0.6063, 0.2359, 0.5474], [0.5556, 0.0000, 0.6523], [0.4445, 0.0000, 0.3479], [0.3924, 0.7644, 0.4524], [0.3924, 0.2356, 0.4524], [0.3453, 0.0000, 0.5471], [0.2549, 0.0000, 0.2539], [0.7074, 0.2638, 0.3477], [0.7074, 0.7362, 0.3477], [0.1566, 0.0000, 0.4523], [0.0467, 0.0000, 0.1481], [0.4929, 0.2645, 0.2524], [0.3066, 0.2626, 0.1480], [0.4929, 0.7355, 0.2524], [0.8566, 0.0000, 0.0546], [0.9467, 0.0000, 0.3474], [0.3066, 0.7374, 0.1480], [0.7566, 0.0000, 0.2525], [0.5930, 0.7675, 0.0510], [0.5930, 0.2325, 0.0510], [0.5442, 0.0000, 0.1454], [0.3577, 0.0000, 0.0505], [0.1452, 0.5000, 0.9489], [0.9560, 0.5000, 0.8540], [0.9085, 0.2629, 0.9492], [0.9085, 0.7371, 0.9492], [0.7428, 0.5000, 0.7478], [0.1924, 0.7679, 0.8512], [0.5529, 0.5000, 0.6523], [0.6454, 0.5000, 0.9446], [0.0085, 0.7645, 0.7483], [0.1924, 0.2321, 0.8512], [0.0085, 0.2355, 0.7483], [0.4574, 0.5000, 0.8509], [0.7921, 0.7645, 0.6522], [0.3433, 0.5000, 0.5475], [0.7921, 0.2355, 0.6522], [0.2464, 0.5000, 0.7461], [0.1063, 0.2641, 0.5474], [0.1539, 0.5000, 0.4532], [0.1063, 0.7359, 0.5474], [0.0556, 0.5000, 0.6523], [0.9445, 0.5000, 0.3479], [0.8924, 0.2644, 0.4524], [0.8924, 0.7356, 0.4524], [0.8453, 0.5000, 0.5471], [0.7549, 0.5000, 0.2539], [0.2074, 0.7638, 0.3477], [0.2074, 0.2362, 0.3477], [0.6566, 0.5000, 0.4523], [0.5467, 0.5000, 0.1481], [0.9929, 0.7645, 0.2524], [0.8066, 0.7626, 0.1480], [0.9929, 0.2355, 0.2524], [0.3566, 0.5000, 0.0546], [0.4467, 0.5000, 0.3474], [0.8066, 0.2374, 0.1480], [0.2566, 0.5000, 0.2525], [0.0930, 0.2675, 0.0510], [0.0930, 0.7325, 0.0510], [0.0442, 0.5000, 0.1454], [0.8577, 0.5000, 0.0505]], "e_form_mev_per_atom": -2054, "final_energy_ev_per_cell": -947.93}

=====

No. 8
{"formula": "Li2Mg3Cl8", "functional": "meta-GGA r2SCAN", "state": "optimized geometry", "cell": [[7.2093, 0.0000, 0.0000], [-3.6047, 6.2435, 0.0000], [0.0000, 0.0000, 18.7032]], "species": ["Li", "Li", "Li", "Li", "Li", "Li", "Mg", "Mg", "Mg", "Mg", "Mg", "Mg", "Mg", "Mg", "Mg", "Cl", "Cl", "Cl", "Cl", "Cl", "Cl", "Cl", "Cl", "Cl", "Cl", "Cl", "Cl", "Cl", "Cl", "Cl", "Cl", "Cl", "Cl", "Cl", "Cl", "Cl", "Cl", "Cl", "Cl"], "fractional_positions": [[0.3333, 0.6667, 0.3259], [0.0000, 0.0000, 0.3408], [0.0000, 0.0000, 0.6592], [0.6667, 0.3333, 0.6741], [0.6667, 0.3333, 0.9926], [0.3333, 0.6667, 0.0074], [0.5000, 0.0000, 0.5000], [0.0000, 0.5000, 0.5000], [0.5000, 0.5000, 0.5000], [0.1667, 0.3333, 0.8333], [0.6667, 0.8333, 0.8333], [0.1667, 0.8333, 0.8333], [0.8333, 0.6667, 0.1667], [0.3333, 0.1667, 0.1667], [0.8333, 0.1667, 0.1667], [0.6667, 0.3333, 0.2396], [0.6667, 0.3333, 0.4271], [0.1604, 0.8396, 0.2438], [0.1604, 0.3208, 0.2438], [0.6792, 0.8396, 0.2438], [0.6541, 0.8271, 0.4228], [0.1729, 0.8271, 0.4228], [0.1729, 0.3459, 0.4228], [0.3333, 0.6667, 0.5729], [0.3333, 0.6667, 0.7604], [0.8271, 0.1729, 0.5772], [0.8271, 0.6541, 0.5772], [0.3459, 0.1729, 0.5772], [0.3208, 0.1604, 0.7562], [0.8396, 0.1604, 0.7562], [0.8396, 0.6792, 0.7562], [0.0000, 0.0000, 0.9063], [0.0000, 0.0000, 0.0937], [0.4937, 0.5063, 0.9105], [0.4937, 0.9875, 0.9105], [0.0125, 0.5063, 0.9105], [0.9875, 0.4937, 0.0895], [0.5063, 0.4937, 0.0895], [0.5063, 0.0125, 0.0895]], "e_form_mev_per_atom": -2032, "final_energy_ev_per_cell": -278.76}

=====

What did the eighth record say?
{"formula": "Li2Mg3Cl8", "functional": "meta-GGA r2SCAN", "state": "optimized geometry", "cell": [[7.2093, 0.0000, 0.0000], [-3.6047, 6.2435, 0.0000], [0.0000, 0.0000, 18.7032]], "species": ["Li", "Li", "Li", "Li", "Li", "Li", "Mg", "Mg", "Mg", "Mg", "Mg", "Mg", "Mg", "Mg", "Mg", "Cl", "Cl", "Cl", "Cl", "Cl", "Cl", "Cl", "Cl", "Cl", "Cl", "Cl", "Cl", "Cl", "Cl", "Cl", "Cl", "Cl", "Cl", "Cl", "Cl", "Cl", "Cl", "Cl", "Cl"], "fractional_positions": [[0.3333, 0.6667, 0.3259], [0.0000, 0.0000, 0.3408], [0.0000, 0.0000, 0.6592], [0.6667, 0.3333, 0.6741], [0.6667, 0.3333, 0.9926], [0.3333, 0.6667, 0.0074], [0.5000, 0.0000, 0.5000], [0.0000, 0.5000, 0.5000], [0.5000, 0.5000, 0.5000], [0.1667, 0.3333, 0.8333], [0.6667, 0.8333, 0.8333], [0.1667, 0.8333, 0.8333], [0.8333, 0.6667, 0.1667], [0.3333, 0.1667, 0.1667], [0.8333, 0.1667, 0.1667], [0.6667, 0.3333, 0.2396], [0.6667, 0.3333, 0.4271], [0.1604, 0.8396, 0.2438], [0.1604, 0.3208, 0.2438], [0.6792, 0.8396, 0.2438], [0.6541, 0.8271, 0.4228], [0.1729, 0.8271, 0.4228], [0.1729, 0.3459, 0.4228], [0.3333, 0.6667, 0.5729], [0.3333, 0.6667, 0.7604], [0.8271, 0.1729, 0.5772], [0.8271, 0.6541, 0.5772], [0.3459, 0.1729, 0.5772], [0.3208, 0.1604, 0.7562], [0.8396, 0.1604, 0.7562], [0.8396, 0.6792, 0.7562], [0.0000, 0.0000, 0.9063], [0.0000, 0.0000, 0.0937], [0.4937, 0.5063, 0.9105], [0.4937, 0.9875, 0.9105], [0.0125, 0.5063, 0.9105], [0.9875, 0.4937, 0.0895], [0.5063, 0.4937, 0.0895], [0.5063, 0.0125, 0.0895]], "e_form_mev_per_atom": -2032, "final_energy_ev_per_cell": -278.76}